## Dy (r²SCAN)

Data for Dy after structural relaxation.

Values from the calculation:
The value obtained for the formation enthalpy at 0 K is 0.13 eV per atom. The calculation puts the mass density at 8.4 g cm⁻³. The calculation puts the total energy at -63.7 eV per cell. The value obtained for the energy above the most stable polymorph in this dataset is 128 meV per atom.

Unit cell a=4.001 b=4.001 c=4.001 alpha=90.00 beta=90.00 gamma=90.00
Space group Im-3m (No. 229)
Unique sites:
Dy: 0.000 0.000 0.000